1.
DFT (PBE with a Hubbard U) results for a relaxed structure of Li9Mn2Co5O16.

Lattice parameters (Å, degrees): 3.0260 5.0610 19.1279 91.99 92.46 91.39
Sites, in units of the cell vectors:
Li (0.0000, 0.0000, 0.0000)
Li (0.9997, 0.1254, 0.3742)
Li (0.0005, 0.2497, 0.7483)
Li (0.0074, 0.4961, 0.4991)
Li (0.4977, 0.8760, 0.1250)
Li (0.5003, 0.1253, 0.8749)
Li (0.5004, 0.6248, 0.3743)
Li (0.5044, 0.3736, 0.6233)
Li (0.9927, 0.7543, 0.2491)
Mn (0.5088, 0.7515, 0.7475)
Mn (0.9914, 0.6238, 0.8753)
Co (0.0007, 0.3721, 0.1264)
Co (0.0052, 0.8819, 0.6212)
Co (0.4943, 0.4969, 0.0018)
Co (0.4991, 0.2502, 0.2547)
Co (0.5015, 0.9991, 0.4932)
O (0.0051, 0.6647, 0.0644)
O (0.0259, 0.8234, 0.4411)
O (0.0363, 0.0852, 0.1874)
O (0.0416, 0.5841, 0.6834)
O (0.4575, 0.7913, 0.9392)
O (0.4927, 0.7227, 0.5591)
O (0.4974, 0.2063, 0.0626)
O (0.4989, 0.2805, 0.4440)
O (0.5005, 0.9702, 0.3039)
O (0.5111, 0.5284, 0.1888)
O (0.5115, 0.0444, 0.6851)
O (0.5316, 0.4561, 0.8106)
O (0.9647, 0.1670, 0.5604)
O (0.9691, 0.9185, 0.8121)
O (0.9724, 0.4265, 0.3068)
O (0.9837, 0.3325, 0.9385)

Computed properties:
Energy of formation from the pure elements   -1.779 eV per atom
Energy relative to the lowest polymorph listed for this composition   0.085 eV per atom
Total magnetic moment   26.00 μB/f.u.
Energy   -184.6 eV/cell
Density   4.1 g cm⁻³

---

2.
DFT (PBE with a Hubbard U) results for a relaxed structure of MnOF.

Lattice parameters (Å, degrees): 4.5972 5.7230 10.3356 89.34 89.03 88.27
Sites, in units of the cell vectors:
Mn (0.0000, 0.0000, 0.0000)
Mn (0.0044, 0.2994, 0.2431)
Mn (0.0134, 0.3082, 0.7469)
Mn (0.0332, 0.9782, 0.5021)
Mn (0.5027, 0.4999, 0.9747)
Mn (0.5073, 0.8018, 0.2295)
Mn (0.5128, 0.8090, 0.7298)
Mn (0.5348, 0.5313, 0.4742)
O (0.2128, 0.0367, 0.1601)
O (0.2140, 0.2692, 0.9110)
O (0.2307, 0.0433, 0.6608)
O (0.2985, 0.7620, 0.3934)
O (0.7131, 0.7675, 0.0639)
O (0.7180, 0.5350, 0.8133)
O (0.7393, 0.7811, 0.5736)
O (0.7476, 0.5408, 0.3137)
F (0.2483, 0.2632, 0.4071)
F (0.2497, 0.7702, 0.8825)
F (0.2538, 0.5299, 0.1371)
F (0.2686, 0.5379, 0.6314)
F (0.7394, 0.2663, 0.0905)
F (0.7589, 0.0399, 0.8402)
F (0.7763, 0.2915, 0.5733)
F (0.7828, 0.0409, 0.3406)

Computed properties:
Energy of formation from the pure elements   -2.310 eV per atom
Total magnetic moment   4.00 μB/f.u.
Energy   -161.1 eV/cell
Density   4.4 g cm⁻³

---

3.
DFT (PBE with a Hubbard U) results for a relaxed structure of LiCr2P2O8.

Lattice parameters (Å, degrees): 6.4091 9.5058 9.5065 119.93 90.06 90.01
Sites, in units of the cell vectors:
Li (0.0000, 0.0000, 0.0000)
Li (0.0060, 0.6656, 0.3300)
Li (0.5169, 0.3370, 0.6691)
Cr (0.4093, 0.9393, 0.7574)
Cr (0.4097, 0.2428, 0.1802)
Cr (0.4100, 0.8221, 0.0624)
Cr (0.9073, 0.5303, 0.6121)
Cr (0.9083, 0.0920, 0.4810)
Cr (0.9078, 0.3855, 0.9217)
P (0.4025, 0.6213, 0.6470)
P (0.4031, 0.0282, 0.3803)
P (0.4025, 0.3529, 0.9726)
P (0.9082, 0.3049, 0.2826)
P (0.9079, 0.7178, 0.0209)
P (0.9076, 0.9771, 0.6908)
O (0.0960, 0.9498, 0.7769)
O (0.0966, 0.2218, 0.1682)
O (0.0969, 0.8330, 0.0526)
O (0.2126, 0.3846, 0.8956)
O (0.2128, 0.5121, 0.6143)
O (0.2139, 0.1052, 0.4900)
O (0.3989, 0.4401, 0.1603)
O (0.3987, 0.7223, 0.5601)
O (0.3990, 0.8407, 0.2797)
O (0.4098, 0.0683, 0.2356)
O (0.4097, 0.1681, 0.9326)
O (0.4101, 0.7650, 0.8320)
O (0.5939, 0.1047, 0.4933)
O (0.5937, 0.5089, 0.6097)
O (0.5946, 0.3887, 0.8973)
O (0.7166, 0.2410, 0.1713)
O (0.7170, 0.8307, 0.0698)
O (0.7166, 0.9333, 0.7577)
O (0.8972, 0.5817, 0.8389)
O (0.8984, 0.1588, 0.7279)
O (0.8989, 0.2595, 0.4203)
O (0.9248, 0.8864, 0.5024)
O (0.9255, 0.4929, 0.3800)
O (0.9260, 0.6215, 0.1131)

Computed properties:
Energy of formation from the pure elements   -2.485 eV per atom
Energy relative to the lowest polymorph listed for this composition   0.052 eV per atom
Total magnetic moment   7.00 μB/f.u.
Energy   -283.3 eV/cell
Density   3.0 g cm⁻³

---

4.
DFT (PBE with a Hubbard U) results for a relaxed structure of Rb2Ce2Fe4O9.

Lattice parameters (Å, degrees): 3.9850 8.8445 8.8445 53.69 90.00 90.00
Sites, in units of the cell vectors:
Rb (0.0000, 0.2489, 0.7511)
Rb (0.0000, 0.7511, 0.2489)
Ce (0.0000, 0.4993, 0.9989)
Ce (0.0000, 0.9989, 0.4993)
Fe (0.5000, 0.1273, 0.1273)
Fe (0.5000, 0.3582, 0.3582)
Fe (0.5000, 0.6409, 0.6409)
Fe (0.5000, 0.8744, 0.8744)
O (0.0000, 0.1659, 0.1659)
O (0.0000, 0.3459, 0.3459)
O (0.0000, 0.6505, 0.6505)
O (0.0000, 0.8336, 0.8336)
O (0.5000, 0.0889, 0.5906)
O (0.5000, 0.4131, 0.9095)
O (0.5000, 0.5906, 0.0889)
O (0.5000, 0.9095, 0.4131)
O (0.5000, 0.9948, 0.9948)

Computed properties:
Energy of formation from the pure elements   -2.269 eV per atom
Total magnetic moment   17.31 μB/f.u.
Energy   -115.6 eV/cell
Density   5.4 g cm⁻³

---

5.
DFT (PBE with a Hubbard U) results for a relaxed structure of LiCoPO4.

Lattice parameters (Å, degrees): 5.3712 5.3712 8.6555 90.00 90.00 122.54
Sites, in units of the cell vectors:
Li (0.1751, 0.8249, 0.5000)
Li (0.8249, 0.1751, 0.0000)
Co (0.3412, 0.6740, 0.8092)
Co (0.6740, 0.3412, 0.3092)
P (0.3365, 0.6845, 0.1853)
P (0.6845, 0.3365, 0.6853)
O (0.0112, 0.4161, 0.1747)
O (0.3494, 0.9153, 0.3007)
O (0.4161, 0.0112, 0.6747)
O (0.4380, 0.8351, 0.0232)
O (0.5447, 0.5905, 0.2389)
O (0.5905, 0.5447, 0.7389)
O (0.8351, 0.4380, 0.5232)
O (0.9153, 0.3494, 0.8007)

Computed properties:
Energy of formation from the pure elements   -2.353 eV per atom
Energy relative to the lowest polymorph listed for this composition   0.055 eV per atom
Total magnetic moment   3.00 μB/f.u.
Energy   -92.6 eV/cell
Density   2.5 g cm⁻³

---

6.
DFT (PBE with a Hubbard U) results for a relaxed structure of MnOF.

Lattice parameters (Å, degrees): 4.8138 3.0885 18.9636 90.00 92.64 90.00
Sites, in units of the cell vectors:
Mn (0.0000, 0.0000, 0.0000)
Mn (0.0207, 0.0000, 0.2486)
Mn (0.3631, 0.5000, 0.6234)
Mn (0.4041, 0.5000, 0.8739)
Mn (0.4667, 0.5000, 0.3734)
Mn (0.5781, 0.5000, 0.1231)
Mn (0.8151, 0.0000, 0.7476)
Mn (0.9178, 0.0000, 0.4975)
O (0.0906, 0.5000, 0.5475)
O (0.1887, 0.5000, 0.2989)
O (0.2502, 0.0000, 0.9243)
O (0.5682, 0.0000, 0.8257)
O (0.6446, 0.5000, 0.6993)
O (0.7403, 0.0000, 0.0759)
O (0.7434, 0.5000, 0.4485)
O (0.8391, 0.5000, 0.1999)
F (0.0431, 0.5000, 0.7944)
F (0.1529, 0.0000, 0.6737)
F (0.2331, 0.5000, 0.0505)
F (0.2654, 0.0000, 0.4210)
F (0.3595, 0.0000, 0.1690)
F (0.5703, 0.0000, 0.5783)
F (0.6664, 0.0000, 0.3251)
F (0.7803, 0.5000, 0.9545)

Computed properties:
Energy of formation from the pure elements   -2.339 eV per atom
Total magnetic moment   4.00 μB/f.u.
Energy   -161.8 eV/cell
Density   4.2 g cm⁻³

---

7.
DFT (PBE with a Hubbard U) results for a relaxed structure of KMn2P2HO9.

Lattice parameters (Å, degrees): 6.3506 7.0204 8.9709 90.00 107.23 90.00
Sites, in units of the cell vectors:
K (0.0496, 0.2500, 0.1708)
K (0.9504, 0.7500, 0.8292)
Mn (0.4596, 0.7500, 0.2867)
Mn (0.5000, 0.0000, 0.0000)
Mn (0.5000, 0.5000, 0.0000)
Mn (0.5404, 0.2500, 0.7133)
P (0.1135, 0.2500, 0.8104)
P (0.4345, 0.7500, 0.6558)
P (0.5655, 0.2500, 0.3442)
P (0.8865, 0.7500, 0.1896)
H (0.0869, 0.7500, 0.4995)
H (0.9131, 0.2500, 0.5005)
O (0.1376, 0.7500, 0.2585)
O (0.1712, 0.7500, 0.6110)
O (0.1864, 0.0693, 0.9152)
O (0.1864, 0.4307, 0.9152)
O (0.2143, 0.2500, 0.6723)
O (0.4168, 0.7500, 0.0624)
O (0.4802, 0.0719, 0.2433)
O (0.4802, 0.4281, 0.2433)
O (0.4867, 0.2500, 0.4896)
O (0.5133, 0.7500, 0.5104)
O (0.5198, 0.5719, 0.7567)
O (0.5198, 0.9281, 0.7567)
O (0.5832, 0.2500, 0.9376)
O (0.7857, 0.7500, 0.3277)
O (0.8136, 0.5693, 0.0848)
O (0.8136, 0.9307, 0.0848)
O (0.8288, 0.2500, 0.3890)
O (0.8624, 0.2500, 0.7415)

Computed properties:
Energy of formation from the pure elements   -2.382 eV per atom
Energy relative to the lowest polymorph listed for this composition   0.000 eV per atom
Total magnetic moment   8.00 μB/f.u.
Energy   -208.8 eV/cell
Density   3.1 g cm⁻³

---

8.
DFT (PBE with a Hubbard U) results for a relaxed structure of MnOF.

Lattice parameters (Å, degrees): 5.1279 5.7431 10.5431 90.00 117.94 90.00
Sites, in units of the cell vectors:
Mn (0.0000, 0.0947, 0.2500)
Mn (0.0000, 0.9053, 0.7500)
Mn (0.2517, 0.3491, 0.9911)
Mn (0.2517, 0.6509, 0.4911)
Mn (0.5000, 0.1987, 0.7500)
Mn (0.5000, 0.8013, 0.2500)
Mn (0.7483, 0.3491, 0.5089)
Mn (0.7483, 0.6509, 0.0089)
O (0.0723, 0.1468, 0.6436)
O (0.0723, 0.8532, 0.1436)
O (0.4726, 0.4105, 0.8867)
O (0.4726, 0.5895, 0.3867)
O (0.5274, 0.4105, 0.6133)
O (0.5274, 0.5895, 0.1133)
O (0.9277, 0.1468, 0.8564)
O (0.9277, 0.8532, 0.3564)
F (0.0480, 0.3429, 0.1207)
F (0.0480, 0.6571, 0.6207)
F (0.4666, 0.0814, 0.3712)
F (0.4666, 0.9186, 0.8712)
F (0.5334, 0.0814, 0.1288)
F (0.5334, 0.9186, 0.6288)
F (0.9520, 0.3429, 0.3793)
F (0.9520, 0.6571, 0.8793)

Computed properties:
Energy of formation from the pure elements   -2.175 eV per atom
Total magnetic moment   0.50 μB/f.u.
Energy   -157.9 eV/cell
Density   4.4 g cm⁻³